# 1
# Dy5SbAu2

Crystalline Dy5SbAu2 at its relaxed geometry (r2SCAN, Materials Project).

Lattice parameters (Å, degrees): 8.6223 8.6223 8.6223 124.38 124.38 82.56
Last column: nearest neighbours and their distance in Å.
Element x y z (fractional)
1 Dy 0.4861 0.9861 0.1886  3 Au 2.99
2 Sb 0.7500 0.7500 0.0000  10 Dy 3.24-3.35
3 Dy 0.7975 0.2975 0.8114  3 Au 2.99
4 Dy 0.5000 0.5000 0.0000  4 Au 3.12, 2 Sb 3.24
5 Dy 0.7025 0.5139 0.5000  3 Au 2.99
6 Au 0.1371 0.6371 0.7742  8 Dy 2.99-3.12, 1 Au 3.12
7 Au 0.6371 0.8629 0.5000  8 Dy 2.99-3.12, 1 Au 3.12
8 Dy 0.2975 0.4861 0.5000  3 Au 2.99
9 Dy 0.9861 0.7975 0.5000  3 Au 2.99
10 Sb 0.2500 0.2500 0.0000  10 Dy 3.24-3.35
11 Au 0.3629 0.1371 0.5000  8 Dy 2.99-3.12, 1 Au 3.12
12 Dy 0.5139 0.0139 0.8114  3 Au 2.99
13 Au 0.8629 0.3629 0.2258  8 Dy 2.99-3.12, 1 Au 3.12
14 Dy 0.0000 0.0000 0.0000  4 Au 3.12, 2 Sb 3.24
15 Dy 0.2025 0.7025 0.1886  3 Au 2.99
16 Dy 0.0139 0.2025 0.5000  3 Au 2.99

**Theoretical density**: 10.52 g cm⁻³
**DFT formation energy**: -0.88 eV/atom
**Raw total energy**: -587.7 eV/cell
**Total magnetization**: 0.000 μB per atom


# 2
# Dy3Sb4Au3

Crystalline Dy3Sb4Au3 at its relaxed geometry (r2SCAN, Materials Project).

Lattice parameters (Å, degrees): 8.5563 8.5563 8.5563 109.47 109.47 109.47
Last column: nearest neighbours and their distance in Å.
Element x y z (fractional)
1 Dy 0.1250 0.7500 0.8750  4 Au 3.03, 4 Sb 3.38
2 Dy 0.6250 0.3750 0.2500  4 Au 3.02-3.03, 4 Sb 3.38
3 Sb 0.5000 0.0000 0.3254  3 Au 2.78
4 Sb 0.8253 0.5000 0.0000  3 Au 2.78
5 Dy 0.8750 0.1250 0.7500  4 Au 3.03, 4 Sb 3.38
6 Dy 0.2500 0.6250 0.3750  4 Au 3.02-3.03, 4 Sb 3.38
7 Sb 0.5000 0.0000 0.8253  3 Au 2.78
8 Au 0.3750 0.6250 0.7500  4 Sb 2.78, 4 Dy 3.02-3.03
9 Dy 0.7500 0.8750 0.1250  4 Au 3.03, 4 Sb 3.38
10 Dy 0.3750 0.2500 0.6250  4 Au 3.02-3.03, 4 Sb 3.38
11 Sb 0.1747 0.1747 0.1747  3 Au 2.78
12 Sb 0.0000 0.8253 0.5000  3 Au 2.78
13 Au 0.8750 0.2500 0.1250  4 Sb 2.78, 4 Dy 3.02-3.03
14 Sb 0.3254 0.5000 0.0000  3 Au 2.78
15 Sb 0.6747 0.6747 0.6747  3 Au 2.78
16 Au 0.1250 0.8750 0.2500  4 Sb 2.78, 4 Dy 3.02-3.03
17 Au 0.2500 0.1250 0.8750  4 Sb 2.78, 4 Dy 3.02-3.03
18 Au 0.7500 0.3750 0.6250  4 Sb 2.78, 4 Dy 3.02-3.03
19 Au 0.6250 0.7500 0.3750  4 Sb 2.78, 4 Dy 3.02-3.03
20 Sb 0.0000 0.3254 0.5000  3 Au 2.78

**Theoretical density**: 10.78 g cm⁻³
**DFT formation energy**: -0.94 eV/atom
**Raw total energy**: -719.8 eV/cell
**Total magnetization**: 0.000 μB per atom


# 3
# ErAu4

Crystalline ErAu4 at its relaxed geometry (r2SCAN, Materials Project).

Lattice parameters (Å, degrees): 4.1640 5.1878 5.1878 80.73 66.34 66.34
Last column: nearest neighbours and their distance in Å.
Element x y z (fractional)
1 Au 0.3998 0.4013 0.7990  9 Au 2.97-3.02, 3 Er 2.98-3.00
2 Er 0.0000 0.0000 0.0000  12 Au 2.98-3.00
3 Au 0.6002 0.5987 0.2010  9 Au 2.97-3.02, 3 Er 2.98-3.00
4 Au 0.8011 0.7990 0.5987  9 Au 2.97-3.02, 3 Er 2.98-3.00
5 Au 0.1989 0.2010 0.4013  9 Au 2.97-3.02, 3 Er 2.98-3.00

**Theoretical density**: 16.87 g cm⁻³
**DFT formation energy**: -0.65 eV/atom
**Raw total energy**: -239.5 eV/cell
**Total magnetization**: 0.000 μB per atom


# 4
# ErAu2

Crystalline ErAu2 at its relaxed geometry (r2SCAN, Materials Project).

Lattice parameters (Å, degrees): 3.6813 3.6813 5.1835 110.80 110.80 90.00
Last column: nearest neighbours and their distance in Å.
Element x y z (fractional)
1 Au 0.6650 0.6650 0.3301  5 Au 2.96-3.02, 5 Er 2.99-3.00
2 Au 0.3350 0.3350 0.6699  5 Au 2.96-3.02, 5 Er 2.99-3.00
3 Er 0.0000 0.0000 0.0000  10 Au 2.99-3.00

**Theoretical density**: 15.34 g cm⁻³
**DFT formation energy**: -0.96 eV/atom
**Raw total energy**: -138.0 eV/cell
**Total magnetization**: 0.000 μB per atom